! Na5TiAl3P6O24 | the Materials Project database | GGA-PBE | optimized geometry; values from VASP
! SG: P1 (1)
! Energy relative to the elements: -2.91 eV per atom
&SYSTEM
  ibrav = 0, nat = 117, ntyp = 5
/
ATOMIC_SPECIES
O 16.00 O.upf
P 30.97 P.upf
Al 26.98 Al.upf
Na 22.99 Na.upf
Ti 47.87 Ti.upf
CELL_PARAMETERS angstrom
8.578 0.001 0.000
-4.288 7.422 0.001
0.001 0.004 21.720
ATOMIC_POSITIONS angstrom
O 2.791 2.320 16.122
O 3.381 6.228 19.738
O -0.900 6.174 5.583
O 1.617 5.188 21.186
O 3.737 0.961 13.904
O -0.615 6.354 12.518
O 2.677 2.746 3.075
O 1.498 4.806 12.516
O 6.995 0.280 17.509
O -3.368 6.214 8.872
O -2.690 7.143 4.196
O 0.879 1.218 1.990
O 5.342 3.747 3.076
O 1.500 0.155 12.850
O -1.608 5.190 10.313
O 1.623 4.715 18.666
O 3.731 3.994 11.476
O 5.221 1.285 16.114
O 5.830 2.670 20.074
O 0.584 3.455 10.273
O 5.229 3.716 9.201
O -2.791 7.238 19.734
O 1.012 6.226 10.313
O 1.023 3.664 7.757
O 2.681 7.152 15.024
O 4.853 4.005 0.615
O 2.785 7.233 8.870
O 1.580 0.288 6.652
O -1.017 3.670 18.669
O 1.515 5.119 5.575
O 5.896 2.199 11.476
O -1.012 6.213 21.158
O 3.270 3.763 13.959
O 4.836 5.932 17.510
O 2.742 2.671 9.194
O 3.687 1.049 20.068
O 7.549 1.220 6.636
O -0.921 3.754 12.511
O 3.676 6.025 12.847
O 1.008 1.252 17.539
O -1.617 4.711 7.776
O 3.381 1.256 5.252
O 4.899 1.044 9.191
O 4.864 6.028 1.997
O 0.590 1.400 8.865
O 3.271 1.214 11.446
O 0.947 6.179 16.426
O 0.551 1.507 15.061
O 5.801 2.305 5.255
O 5.324 1.234 0.614
O 0.606 6.468 7.775
O 7.057 0.173 1.985
O -0.592 6.458 18.688
O -0.610 3.557 5.575
O 2.692 2.227 0.599
O -0.588 1.392 19.743
O 4.901 3.883 16.134
O -0.575 1.538 4.158
O 7.653 1.199 12.860
O 3.749 5.924 6.637
O 3.244 6.161 4.158
O -1.499 4.749 1.650
O 5.918 2.754 13.944
O 0.623 6.317 1.654
O 4.891 0.948 3.091
O -1.531 5.106 16.422
O 0.911 3.714 1.663
O -3.278 6.153 15.007
O 3.356 3.718 20.067
O 0.628 3.522 16.428
O -0.598 3.437 21.187
O 3.687 3.870 5.250
P -2.459 4.990 9.046
P 1.273 2.078 16.289
P 1.188 2.802 9.035
P 3.017 4.613 12.698
P 3.022 0.341 12.691
P 2.488 5.008 19.937
P -1.824 7.423 5.440
P 6.117 0.039 16.277
P 6.808 2.481 12.695
P 5.504 5.321 16.278
P 5.506 0.302 1.835
P 5.554 4.659 1.833
P 1.799 2.442 1.835
P 7.346 2.136 5.433
P -1.293 7.081 19.949
P 1.272 7.056 9.043
P -1.198 2.775 19.941
P 3.058 5.291 5.433
Al 0.007 0.003 7.745
Al 0.019 4.909 11.217
Al -0.026 4.986 0.370
Al 4.288 2.468 3.999
Al 4.261 2.438 14.866
Al -4.242 7.416 3.229
Al 0.000 4.949 6.941
Al 0.028 0.045 14.065
Al 0.013 0.012 18.538
Na 4.267 2.433 18.106
Na 1.558 7.189 12.645
Na -2.729 5.191 12.646
Na 4.288 2.476 7.322
Na 0.003 4.947 14.444
Na 0.023 0.049 10.799
Na 1.564 2.712 5.479
Na -4.238 7.421 21.653
Na -1.156 2.466 1.793
Na -2.719 4.719 5.473
Na 2.718 5.183 1.791
Na 2.743 4.709 16.276
Na -0.028 4.991 3.605
Na 1.154 7.421 5.473
Na -1.557 2.702 16.277
Ti 4.272 2.467 10.354
Ti 4.282 2.476 21.221
Ti -0.020 5.000 17.706

! Na5Ti7AlP12O48 | the Materials Project database | GGA-PBE | optimized geometry; values from VASP
! Distance to the lowest polymorph of the same formula: 0.0000 eV/atom
! SG: P1 (1)
! Energy relative to the elements: -3.00 eV per atom
&SYSTEM
  ibrav = 0, nat = 73, ntyp = 5
/
ATOMIC_SPECIES
O 16.00 O.upf
P 30.97 P.upf
Ti 47.87 Ti.upf
Na 22.99 Na.upf
Al 26.98 Al.upf
CELL_PARAMETERS angstrom
7.505 -0.018 4.680
2.589 7.053 4.675
-0.048 -0.046 17.697
ATOMIC_POSITIONS angstrom
O 7.147 0.469 19.999
O 6.559 3.377 22.153
O 4.751 0.055 18.859
O 7.245 0.502 11.129
O 6.212 5.472 10.017
O 2.321 5.052 20.854
O 7.666 1.982 6.172
O 7.614 1.930 15.019
O 3.862 1.516 8.164
O 2.228 0.381 18.618
O 2.236 0.406 9.755
O 5.319 6.997 8.262
O 3.419 3.592 4.857
O 6.620 3.465 13.343
O 3.841 1.516 17.059
O 1.740 1.993 6.396
O 7.462 4.451 24.304
O 7.828 6.585 8.398
O 1.671 1.953 15.280
O 2.415 5.050 12.046
O 5.308 6.987 17.122
O 6.205 5.468 18.866
O 3.399 3.507 13.727
O 4.740 -0.005 9.925
O 8.345 4.996 11.794
O 2.051 5.529 9.285
O 8.020 1.482 8.911
O 4.600 3.912 11.515
O 4.079 0.900 14.369
O 2.552 2.529 20.396
O 4.143 0.939 5.420
O 2.017 5.518 18.174
O 6.940 2.946 10.595
O 5.427 3.070 15.553
O 8.327 4.976 20.665
O 7.990 1.441 17.776
O 5.463 3.079 6.681
O 7.510 4.424 15.516
O 5.955 6.084 12.696
O 3.141 4.053 7.614
O 2.519 2.558 11.547
O 3.097 4.031 16.484
O 2.827 6.498 7.063
O 6.008 6.071 21.610
O 7.816 6.602 17.295
O 2.812 6.471 15.943
O 4.558 3.945 20.358
O 6.863 2.896 19.456
P 2.211 5.273 7.771
P 7.868 1.727 10.428
P 6.792 3.225 14.858
P 3.165 3.802 21.036
P 3.233 3.752 12.213
P 2.189 5.267 16.691
P 6.521 6.734 9.199
P 7.806 1.667 19.292
P 3.585 0.238 17.889
P 3.551 0.237 8.968
P 6.839 3.285 5.991
P 6.498 6.767 18.076
Ti 6.485 4.506 11.741
Ti 8.618 5.998 15.568
Ti 3.524 2.468 15.345
Ti 1.436 1.016 2.619
Ti 3.597 2.503 6.449
Ti 6.503 4.566 20.596
Ti 1.416 0.983 11.485
Na 2.605 6.891 22.357
Na 5.030 3.607 17.875
Na 2.570 7.017 13.530
Na 5.195 1.704 20.703
Na 5.045 3.494 9.093
Al 8.582 5.930 24.400